[1]
VASP calculation (PBE+U) on an optimized crystal structure of Cs2MoO4.

Results
crystal system	orthorhombic
DFT formation energy	-208	kJ/mol of atoms
M_tot	0.0	μB/f.u.

a = 6.414 Å, b = 8.740 Å, c = 13.270 Å
α = 90.00°, β = 90.00°, γ = 90.00°
Fractional coordinates of all 28 atoms:
1 O 0.750 0.815 0.016
2 Mo 0.250 0.225 0.607
3 O 0.522 0.786 0.826
4 Cs 0.750 0.979 0.655
5 O 0.750 0.981 0.411
6 O 0.750 0.519 0.911
7 Mo 0.750 0.725 0.893
8 Cs 0.250 0.670 0.568
9 O 0.250 0.481 0.089
10 Cs 0.250 0.830 0.068
11 O 0.022 0.214 0.174
12 O 0.250 0.019 0.589
13 O 0.978 0.786 0.826
14 Cs 0.250 0.479 0.845
15 O 0.522 0.714 0.326
16 O 0.978 0.714 0.326
17 Cs 0.750 0.330 0.432
18 Cs 0.750 0.521 0.155
19 Cs 0.750 0.170 0.932
20 Cs 0.250 0.021 0.345
21 Mo 0.750 0.775 0.393
22 O 0.250 0.315 0.484
23 O 0.250 0.185 0.984
24 O 0.022 0.286 0.674
25 O 0.750 0.685 0.516
26 O 0.478 0.286 0.674
27 O 0.478 0.214 0.174
28 Mo 0.250 0.275 0.107



[2]
VASP calculation (PBE+U) on an optimized crystal structure of Cs3Mo4P3O16.

Results
crystal system	cubic
DFT formation energy	-211	kJ/mol of atoms
M_tot	8.0	μB/f.u.

a = 7.869 Å, b = 7.869 Å, c = 7.869 Å
α = 90.00°, β = 90.00°, γ = 90.00°
Fractional coordinates of all 26 atoms:
1 O 0.889 0.616 0.384
2 O 0.111 0.616 0.616
3 O 0.384 0.384 0.111
4 O 0.616 0.616 0.111
5 Mo 0.618 0.382 0.618
6 O 0.357 0.357 0.643
7 O 0.384 0.616 0.889
8 P 0.500 0.000 0.500
9 O 0.616 0.384 0.889
10 Mo 0.382 0.618 0.618
11 O 0.384 0.111 0.384
12 Cs 0.500 0.000 0.000
13 O 0.643 0.357 0.357
14 O 0.643 0.643 0.643
15 O 0.616 0.889 0.384
16 O 0.357 0.643 0.357
17 P 0.500 0.500 0.000
18 Cs 0.000 0.500 0.000
19 O 0.616 0.111 0.616
20 Mo 0.382 0.382 0.382
21 O 0.111 0.384 0.384
22 Mo 0.618 0.618 0.382
23 O 0.384 0.889 0.616
24 O 0.889 0.384 0.616
25 Cs 0.000 0.000 0.500
26 P 0.000 0.500 0.500



[3]
VASP calculation (PBE+U) on an optimized crystal structure of CsMoP2O8.

Results
crystal system	monoclinic
DFT formation energy	-243	kJ/mol of atoms
M_tot	1.0	μB/f.u.

a = 5.263 Å, b = 12.039 Å, c = 13.287 Å
α = 90.00°, β = 111.96°, γ = 90.00°
Fractional coordinates of all 48 atoms:
1 O 0.787 0.143 0.033
2 O 0.792 0.012 0.882
3 O 0.656 0.569 0.602
4 O 0.213 0.643 0.467
5 O 0.325 0.642 0.275
6 Mo 0.050 0.547 0.312
7 O 0.213 0.857 0.967
8 O 0.325 0.858 0.775
9 O 0.629 0.298 0.335
10 Cs 0.717 0.660 0.948
11 O 0.770 0.673 0.250
12 P 0.360 0.603 0.583
13 O 0.230 0.327 0.750
14 O 0.675 0.358 0.725
15 Cs 0.283 0.340 0.052
16 O 0.208 0.512 0.618
17 O 0.371 0.702 0.665
18 P 0.453 0.668 0.191
19 P 0.360 0.897 0.083
20 P 0.453 0.832 0.691
21 O 0.629 0.202 0.835
22 O 0.675 0.142 0.225
23 O 0.649 0.400 0.911
24 O 0.351 0.900 0.589
25 P 0.547 0.168 0.309
26 O 0.787 0.357 0.533
27 O 0.060 0.966 0.302
28 Mo 0.950 0.047 0.188
29 P 0.640 0.397 0.417
30 O 0.940 0.034 0.698
31 P 0.547 0.332 0.809
32 O 0.344 0.069 0.898
33 Mo 0.050 0.953 0.812
34 Mo 0.950 0.453 0.688
35 P 0.640 0.103 0.917
36 Cs 0.283 0.160 0.552
37 O 0.208 0.988 0.118
38 O 0.656 0.931 0.102
39 Cs 0.717 0.840 0.448
40 O 0.344 0.431 0.398
41 O 0.060 0.534 0.802
42 O 0.792 0.488 0.382
43 O 0.351 0.600 0.089
44 O 0.770 0.827 0.750
45 O 0.371 0.798 0.165
46 O 0.230 0.173 0.250
47 O 0.649 0.100 0.411
48 O 0.940 0.466 0.198



[4]
VASP calculation (PBE+U) on an optimized crystal structure of CsMoP2O7.

Results
crystal system	monoclinic
DFT formation energy	-250	kJ/mol of atoms
M_tot	3.0	μB/f.u.

a = 10.611 Å, b = 7.878 Å, c = 8.676 Å
α = 74.92°, β = 90.00°, γ = 90.00°
Fractional coordinates of all 44 atoms:
1 O 0.231 0.559 0.732
2 P 0.129 0.574 0.186
3 O 0.233 0.917 0.259
4 O 0.267 0.917 0.759
5 Mo 0.102 0.761 0.757
6 Cs 0.692 0.803 0.551
7 O 0.006 0.008 0.228
8 O 0.731 0.441 0.768
9 O 0.590 0.146 0.996
10 O 0.733 0.083 0.241
11 O 0.269 0.559 0.232
12 O 0.767 0.083 0.741
13 P 0.871 0.426 0.814
14 O 0.070 0.391 0.236
15 O 0.494 0.008 0.728
16 O 0.994 0.992 0.772
17 O 0.942 0.315 0.702
18 P 0.599 0.127 0.173
19 Mo 0.602 0.239 0.743
20 Mo 0.398 0.761 0.257
21 O 0.090 0.854 0.504
22 O 0.898 0.325 0.985
23 P 0.371 0.574 0.686
24 O 0.058 0.685 0.298
25 Cs 0.308 0.197 0.449
26 O 0.102 0.675 0.015
27 O 0.930 0.609 0.764
28 P 0.099 0.873 0.327
29 Cs 0.192 0.197 0.949
30 O 0.398 0.675 0.515
31 O 0.570 0.609 0.264
32 Mo 0.898 0.239 0.243
33 O 0.769 0.441 0.268
34 O 0.506 0.992 0.272
35 O 0.910 0.146 0.496
36 P 0.629 0.426 0.314
37 O 0.410 0.854 0.004
38 P 0.401 0.873 0.827
39 O 0.430 0.391 0.736
40 Cs 0.808 0.803 0.051
41 O 0.442 0.685 0.798
42 O 0.602 0.325 0.485
43 O 0.558 0.315 0.202
44 P 0.901 0.127 0.673



[5]
VASP calculation (PBE+U) on an optimized crystal structure of Cs3Mo6P10O38.

Results
crystal system	triclinic
DFT formation energy	-244	kJ/mol of atoms
M_tot	13.0	μB/f.u.

a = 6.562 Å, b = 9.694 Å, c = 14.550 Å
α = 89.87°, β = 91.18°, γ = 105.99°
Fractional coordinates of all 57 atoms:
1 O 0.025 0.636 0.103
2 O 0.668 0.686 0.998
3 O 0.211 0.148 0.832
4 P 0.492 0.704 0.576
5 O 0.825 0.873 0.345
6 O 0.294 0.851 0.170
7 O 0.975 0.364 0.897
8 O 0.055 0.674 0.412
9 P 0.511 0.281 0.061
10 O 0.535 0.765 0.672
11 P 0.843 0.953 0.252
12 O 0.175 0.127 0.655
13 O 0.945 0.326 0.588
14 O 0.930 0.945 0.758
15 Mo 0.266 0.334 0.612
16 P 0.489 0.719 0.939
17 Cs 0.042 0.373 0.283
18 O 0.706 0.149 0.830
19 P 0.508 0.296 0.424
20 Mo 0.284 0.368 0.865
21 Mo 0.380 0.040 0.250
22 P 0.739 0.282 0.887
23 O 0.675 0.089 0.632
24 O 0.465 0.235 0.328
25 O 0.388 0.614 0.144
26 O 0.363 0.798 0.519
27 Cs 0.000 0.000 0.000
28 O 0.298 0.284 0.475
29 P 0.285 0.763 0.411
30 O 0.300 0.944 0.750
31 O 0.653 0.410 0.111
32 Mo 0.716 0.632 0.135
33 O 0.700 0.056 0.250
34 O 0.332 0.314 0.002
35 O 0.612 0.386 0.856
36 O 0.259 0.396 0.736
37 P 0.715 0.237 0.589
38 O 0.655 0.449 0.425
39 O 0.741 0.604 0.264
40 O 0.637 0.202 0.481
41 O 0.347 0.590 0.889
42 O 0.702 0.716 0.525
43 O 0.789 0.852 0.168
44 O 0.345 0.551 0.575
45 P 0.157 0.047 0.748
46 P 0.261 0.718 0.113
47 Mo 0.734 0.666 0.388
48 O 0.662 0.226 0.990
49 O 0.070 0.055 0.242
50 O 0.422 0.154 0.123
51 O 0.415 0.667 0.372
52 O 0.585 0.333 0.628
53 Mo 0.620 0.960 0.750
54 Cs 0.958 0.627 0.717
55 O 0.338 0.774 0.010
56 O 0.578 0.846 0.877
57 O 0.325 0.911 0.368



[6]
VASP calculation (PBE+U) on an optimized crystal structure of Cs3Rb5Mo12P12O68.

Results
crystal system	triclinic
DFT formation energy	-231	kJ/mol of atoms
M_tot	0.0	μB/f.u.

a = 9.705 Å, b = 11.001 Å, c = 15.787 Å
α = 70.95°, β = 89.99°, γ = 89.98°
Fractional coordinates of all 100 atoms:
1 O 0.086 0.515 0.580
2 O 0.472 0.510 0.598
3 P 0.596 0.600 0.568
4 Rb 0.129 0.599 0.290
5 O 0.791 0.075 0.615
6 O 0.756 0.190 0.851
7 Rb 0.629 0.901 0.210
8 Mo 0.241 0.977 0.100
9 Mo 0.623 0.186 0.561
10 O 0.923 0.259 0.338
11 O 0.528 0.490 0.402
12 P 0.327 0.539 0.800
13 O 0.266 0.664 0.808
14 Mo 0.759 0.024 0.900
15 P 0.096 0.900 0.932
16 O 0.986 0.957 0.702
17 O 0.256 0.310 0.650
18 Rb 0.620 0.331 0.990
19 O 0.293 0.464 0.476
20 Mo 0.123 0.314 0.939
21 O 0.414 0.015 0.080
22 O 0.284 0.693 0.521
23 O 0.734 0.485 0.284
24 O 0.672 0.620 0.648
25 Mo 0.741 0.523 0.400
26 Mo 0.879 0.199 0.255
27 O 0.883 0.747 0.149
28 O 0.944 0.233 0.999
29 P 0.403 0.922 0.622
30 O 0.828 0.120 0.148
31 P 0.404 0.400 0.432
32 O 0.424 0.242 0.161
33 O 0.117 0.253 0.851
34 O 0.914 0.485 0.420
35 O 0.586 0.985 0.920
36 O 0.056 0.767 0.001
37 O 0.028 0.011 0.098
38 O 0.209 0.925 0.385
39 O 0.025 0.291 0.165
40 P 0.903 0.578 0.878
41 Rb 0.871 0.401 0.710
42 O 0.637 0.064 0.474
43 P 0.097 0.422 0.122
44 O 0.975 0.708 0.835
45 O 0.266 0.515 0.716
46 P 0.827 0.961 0.701
47 O 0.771 0.570 0.823
48 O 0.137 0.436 0.026
49 O 0.328 0.380 0.352
50 O 0.734 0.336 0.191
51 O 0.172 0.880 0.852
52 O 0.793 0.036 0.024
53 O 0.494 0.034 0.630
54 O 0.383 0.753 0.351
55 O 0.014 0.043 0.298
56 O 0.556 0.733 0.499
57 O 0.234 0.164 0.308
58 O 0.707 0.536 0.524
59 O 0.617 0.247 0.649
60 O 0.216 0.193 0.021
61 O 0.077 0.741 0.662
62 O 0.234 0.015 0.216
63 O 0.244 0.811 0.150
64 O 0.766 0.836 0.692
65 Mo 0.259 0.477 0.600
66 P 0.904 0.100 0.068
67 Cs 0.383 0.669 0.010
68 O 0.514 0.457 0.202
69 O 0.486 0.543 0.799
70 Mo 0.121 0.801 0.745
71 O 0.207 0.964 0.976
72 Cs 0.117 0.169 0.510
73 O 0.271 0.929 0.678
74 P 0.673 0.461 0.200
75 Mo 0.876 0.686 0.061
76 O 0.292 0.424 0.886
77 Mo 0.376 0.814 0.439
78 O 0.784 0.807 0.979
79 O 0.444 0.267 0.501
80 O 0.506 0.966 0.370
81 O 0.744 0.689 0.350
82 Cs 0.883 0.831 0.490
83 Rb 0.371 0.099 0.790
84 O 0.476 0.791 0.665
85 P 0.173 0.039 0.299
86 Mo 0.379 0.301 0.245
87 O 0.862 0.563 0.974
88 O 0.972 0.990 0.902
89 O 0.006 0.534 0.130
90 O 0.729 0.071 0.322
91 O 0.994 0.466 0.870
92 O 0.363 0.936 0.526
93 O 0.577 0.759 0.838
94 O 0.709 0.575 0.115
95 P 0.597 0.078 0.378
96 O 0.524 0.209 0.334
97 O 0.229 0.429 0.178
98 Mo 0.621 0.698 0.755
99 O 0.766 0.985 0.784
100 O 0.716 0.307 0.479



Copy entry 1 word for word.
VASP calculation (PBE+U) on an optimized crystal structure of Cs2MoO4.

Results
crystal system	orthorhombic
DFT formation energy	-208	kJ/mol of atoms
M_tot	0.0	μB/f.u.

a = 6.414 Å, b = 8.740 Å, c = 13.270 Å
α = 90.00°, β = 90.00°, γ = 90.00°
Fractional coordinates of all 28 atoms:
1 O 0.750 0.815 0.016
2 Mo 0.250 0.225 0.607
3 O 0.522 0.786 0.826
4 Cs 0.750 0.979 0.655
5 O 0.750 0.981 0.411
6 O 0.750 0.519 0.911
7 Mo 0.750 0.725 0.893
8 Cs 0.250 0.670 0.568
9 O 0.250 0.481 0.089
10 Cs 0.250 0.830 0.068
11 O 0.022 0.214 0.174
12 O 0.250 0.019 0.589
13 O 0.978 0.786 0.826
14 Cs 0.250 0.479 0.845
15 O 0.522 0.714 0.326
16 O 0.978 0.714 0.326
17 Cs 0.750 0.330 0.432
18 Cs 0.750 0.521 0.155
19 Cs 0.750 0.170 0.932
20 Cs 0.250 0.021 0.345
21 Mo 0.750 0.775 0.393
22 O 0.250 0.315 0.484
23 O 0.250 0.185 0.984
24 O 0.022 0.286 0.674
25 O 0.750 0.685 0.516
26 O 0.478 0.286 0.674
27 O 0.478 0.214 0.174
28 Mo 0.250 0.275 0.107